No. 1
The following is a GGA-PBE calculation of an optimized crystal structure of Zr2TeBr12, from Materials Project.

Results
Calculated density, g cm⁻³: 3.468
Energy of formation from the pure elements, eV per atom: -1.49
Calculated volume, Å³ per cell: 2430
Electronic total energy, eV for the cell shown: -223.44

The structure in CIF format:
```
data_Zr2TeBr12
_chemical_formula_sum 'Zr8 Te4 Br48'
_cell_length_a 16.614
_cell_length_b 7.490
_cell_length_c 19.691
_cell_angle_alpha 82.70
_cell_angle_beta 90.00
_cell_angle_gamma 90.00
_space_group_name_H-M_alt 'P 1'
_space_group_IT_number 1
_space_group_name_Hall 'P 1'
loop_
_atom_site_label
_atom_site_fract_x
_atom_site_fract_y
_atom_site_fract_z
_atom_site_occupancy
Zr1 0.807 0.186 0.672 1
Zr2 0.307 0.814 0.828 1
Zr3 0.193 0.814 0.328 1
Zr4 0.693 0.186 0.172 1
Zr5 0.685 0.261 0.981 1
Zr6 0.185 0.739 0.519 1
Zr7 0.315 0.739 0.019 1
Zr8 0.815 0.261 0.481 1
Te1 0.950 0.336 0.837 1
Te2 0.450 0.664 0.663 1
Te3 0.050 0.664 0.163 1
Te4 0.550 0.336 0.337 1
Br1 0.561 0.596 0.407 1
Br2 0.061 0.404 0.093 1
Br3 0.439 0.404 0.593 1
Br4 0.939 0.596 0.907 1
Br5 0.448 0.152 0.414 1
Br6 0.948 0.848 0.086 1
Br7 0.552 0.848 0.586 1
Br8 0.052 0.152 0.914 1
Br9 0.447 0.487 0.255 1
Br10 0.947 0.513 0.245 1
Br11 0.553 0.513 0.745 1
Br12 0.053 0.487 0.755 1
Br13 0.816 0.472 0.737 1
Br14 0.316 0.528 0.763 1
Br15 0.184 0.528 0.263 1
Br16 0.684 0.472 0.237 1
Br17 0.700 0.020 0.743 1
Br18 0.200 0.980 0.757 1
Br19 0.300 0.980 0.257 1
Br20 0.800 0.020 0.243 1
Br21 0.932 0.042 0.741 1
Br22 0.432 0.958 0.759 1
Br23 0.068 0.958 0.259 1
Br24 0.568 0.042 0.241 1
Br25 0.704 0.364 0.582 1
Br26 0.204 0.636 0.918 1
Br27 0.296 0.636 0.418 1
Br28 0.796 0.364 0.082 1
Br29 0.814 0.946 0.581 1
Br30 0.314 0.054 0.919 1
Br31 0.186 0.054 0.419 1
Br32 0.686 0.946 0.081 1
Br33 0.918 0.362 0.576 1
Br34 0.418 0.638 0.924 1
Br35 0.082 0.638 0.424 1
Br36 0.582 0.362 0.076 1
Br37 0.688 0.117 0.429 1
Br38 0.188 0.883 0.071 1
Br39 0.312 0.883 0.571 1
Br40 0.812 0.117 0.929 1
Br41 0.921 0.119 0.416 1
Br42 0.421 0.881 0.084 1
Br43 0.079 0.881 0.584 1
Br44 0.579 0.119 0.916 1
Br45 0.807 0.569 0.415 1
Br46 0.307 0.431 0.085 1
Br47 0.193 0.431 0.585 1
Br48 0.693 0.569 0.915 1
```


No. 2
The following is a GGA-PBE calculation of an optimized crystal structure of TiBr4, from Materials Project.

Results
Calculated density, g cm⁻³: 2.659
Energy of formation from the pure elements, eV per atom: -1.66
Calculated volume, Å³ per cell: 918
Electronic total energy, eV for the cell shown: -82.39

The structure in CIF format:
```
data_TiBr4
_chemical_formula_sum 'Ti4 Br16'
_cell_length_a 7.442
_cell_length_b 11.217
_cell_length_c 11.220
_cell_angle_alpha 78.60
_cell_angle_beta 90.00
_cell_angle_gamma 90.00
_space_group_name_H-M_alt 'P 1'
_space_group_IT_number 1
_space_group_name_Hall 'P 1'
loop_
_atom_site_label
_atom_site_fract_x
_atom_site_fract_y
_atom_site_fract_z
_atom_site_occupancy
Ti1 0.422 0.632 0.250 1
Ti2 0.922 0.868 0.750 1
Ti3 0.578 0.368 0.750 1
Ti4 0.078 0.132 0.250 1
Br1 0.421 0.794 0.083 1
Br2 0.921 0.706 0.917 1
Br3 0.579 0.206 0.917 1
Br4 0.079 0.294 0.083 1
Br5 0.126 0.579 0.308 1
Br6 0.626 0.921 0.692 1
Br7 0.874 0.421 0.692 1
Br8 0.374 0.079 0.308 1
Br9 0.573 0.692 0.412 1
Br10 0.073 0.808 0.588 1
Br11 0.427 0.308 0.588 1
Br12 0.927 0.192 0.412 1
Br13 0.569 0.466 0.198 1
Br14 0.069 0.034 0.802 1
Br15 0.431 0.534 0.802 1
Br16 0.931 0.966 0.198 1
```


No. 3
The following is a GGA-PBE calculation of an optimized crystal structure of Ti3Br, from Materials Project.

Results
Calculated density, g cm⁻³: 5.393
Energy of formation from the pure elements, eV per atom: 0.16
Calculated volume, Å³ per cell: 138
Electronic total energy, eV for the cell shown: -48.27

The structure in CIF format:
```
data_Ti3Br
_chemical_formula_sum 'Ti6 Br2'
_cell_length_a 5.674
_cell_length_b 5.674
_cell_length_c 4.937
_cell_angle_alpha 90.00
_cell_angle_beta 90.00
_cell_angle_gamma 120.00
_space_group_name_H-M_alt 'P 1'
_space_group_IT_number 1
_space_group_name_Hall 'P 1'
loop_
_atom_site_label
_atom_site_fract_x
_atom_site_fract_y
_atom_site_fract_z
_atom_site_occupancy
Ti1 0.160 0.320 0.250 1
Ti2 0.680 0.840 0.250 1
Ti3 0.160 0.840 0.250 1
Ti4 0.840 0.680 0.750 1
Ti5 0.320 0.160 0.750 1
Ti6 0.840 0.160 0.750 1
Br1 0.333 0.667 0.750 1
Br2 0.667 0.333 0.250 1
```


No. 4
The following is a GGA-PBE calculation of an optimized crystal structure of TiBr4, from Materials Project.

Results
Calculated density, g cm⁻³: 2.596
Energy of formation from the pure elements, eV per atom: -1.66
Calculated volume, Å³ per cell: 1881
Electronic total energy, eV for the cell shown: -164.81

The structure in CIF format:
```
data_TiBr4
_chemical_formula_sum 'Ti8 Br32'
_cell_length_a 12.343
_cell_length_b 12.343
_cell_length_c 12.343
_cell_angle_alpha 90.00
_cell_angle_beta 90.00
_cell_angle_gamma 90.00
_space_group_name_H-M_alt 'P 1'
_space_group_IT_number 1
_space_group_name_Hall 'P 1'
loop_
_atom_site_label
_atom_site_fract_x
_atom_site_fract_y
_atom_site_fract_z
_atom_site_occupancy
Ti1 0.131 0.131 0.131 1
Ti2 0.369 0.631 0.131 1
Ti3 0.631 0.369 0.869 1
Ti4 0.131 0.369 0.631 1
Ti5 0.869 0.869 0.869 1
Ti6 0.369 0.869 0.631 1
Ti7 0.869 0.631 0.369 1
Ti8 0.631 0.131 0.369 1
Br1 0.760 0.760 0.760 1
Br2 0.019 0.240 0.024 1
Br3 0.240 0.240 0.240 1
Br4 0.260 0.976 0.519 1
Br5 0.240 0.476 0.519 1
Br6 0.240 0.024 0.019 1
Br7 0.740 0.024 0.481 1
Br8 0.481 0.740 0.024 1
Br9 0.481 0.760 0.524 1
Br10 0.760 0.524 0.481 1
Br11 0.240 0.260 0.740 1
Br12 0.981 0.740 0.476 1
Br13 0.519 0.240 0.476 1
Br14 0.260 0.524 0.019 1
Br15 0.024 0.019 0.240 1
Br16 0.760 0.976 0.981 1
Br17 0.976 0.981 0.760 1
Br18 0.524 0.481 0.760 1
Br19 0.260 0.760 0.740 1
Br20 0.740 0.260 0.760 1
Br21 0.981 0.760 0.976 1
Br22 0.519 0.260 0.976 1
Br23 0.476 0.519 0.240 1
Br24 0.740 0.240 0.260 1
Br25 0.740 0.476 0.981 1
Br26 0.476 0.981 0.740 1
Br27 0.524 0.019 0.260 1
Br28 0.019 0.260 0.524 1
Br29 0.260 0.740 0.240 1
Br30 0.760 0.740 0.260 1
Br31 0.024 0.481 0.740 1
Br32 0.976 0.519 0.260 1
```


No. 5
The following is a GGA-PBE calculation of an optimized crystal structure of Tl3Br, from Materials Project.

Results
Calculated density, g cm⁻³: 8.703
Energy of formation from the pure elements, eV per atom: -0.41
Offset from the most stable computed form, meV/atom: 26
Calculated volume, Å³ per cell: 264
Electronic total energy, eV for the cell shown: -19.63

The structure in CIF format:
```
data_Tl3Br
_chemical_formula_sum 'Tl6 Br2'
_cell_length_a 6.979
_cell_length_b 6.979
_cell_length_c 6.270
_cell_angle_alpha 90.00
_cell_angle_beta 90.00
_cell_angle_gamma 120.00
_space_group_name_H-M_alt 'P 1'
_space_group_IT_number 1
_space_group_name_Hall 'P 1'
loop_
_atom_site_label
_atom_site_fract_x
_atom_site_fract_y
_atom_site_fract_z
_atom_site_occupancy
Tl1 0.167 0.335 0.250 1
Tl2 0.665 0.833 0.250 1
Tl3 0.167 0.833 0.250 1
Tl4 0.833 0.665 0.750 1
Tl5 0.335 0.167 0.750 1
Tl6 0.833 0.167 0.750 1
Br1 0.333 0.667 0.750 1
Br2 0.667 0.333 0.250 1
```


> What is the energy of formation from the pure elements in the second record?

-1.66 eV per atom